[1]
## MgAl (PBE)

Data for a relaxed structure of MgAl.

a = 5.294 Å, b = 5.294 Å, c = 5.294 Å
α = 32.80°, β = 32.80°, γ = 32.80°
Sites, in units of the cell vectors:
Al (0.000, 0.000, 0.000)
Mg (0.500, 0.500, 0.500)

Symmetry: R-3m (166)
Total magnetization (μB/atom): 0.000

=====

[2]
## Tm4Ni (PBE)

Data for a relaxed structure of Tm4Ni.

a = 7.395 Å, b = 7.395 Å, c = 7.395 Å
α = 60.00°, β = 60.00°, γ = 60.00°
Sites, in units of the cell vectors:
Ni (0.000, 0.000, 0.000)
Ni (0.250, 0.250, 0.250)
Tm (0.413, 0.862, 0.862)
Tm (0.388, 0.388, 0.388)
Tm (0.862, 0.413, 0.862)
Tm (0.388, 0.837, 0.388)
Tm (0.862, 0.862, 0.413)
Tm (0.862, 0.862, 0.862)
Tm (0.837, 0.388, 0.388)
Tm (0.388, 0.388, 0.837)

Symmetry: Fd-3m (227)
Total magnetization (μB/atom): 0.000

=====

[3]
## CrN2 (PBE)

Data for a relaxed structure of CrN2.

a = 4.568 Å, b = 4.677 Å, c = 8.419 Å
α = 64.19°, β = 90.00°, γ = 90.00°
Sites, in units of the cell vectors:
N (0.294, 0.035, 0.324)
N (0.271, 0.656, 0.101)
N (0.223, 0.144, 0.610)
N (0.258, 0.296, 0.930)
N (0.706, 0.035, 0.824)
N (0.742, 0.296, 0.430)
N (0.777, 0.144, 0.110)
N (0.729, 0.656, 0.601)
Cr (0.483, 0.011, 0.509)
Cr (0.128, 0.306, 0.131)
Cr (0.872, 0.306, 0.631)
Cr (0.517, 0.011, 0.009)

Symmetry: Pc (7)
Total magnetization (μB/atom): 0.000

=====

[4]
## SiNi6Ge (PBE)

Data for a relaxed structure of SiNi6Ge.

a = 3.542 Å, b = 3.542 Å, c = 7.049 Å
α = 90.00°, β = 90.00°, γ = 90.00°
Sites, in units of the cell vectors:
Ni (0.500, 0.000, 0.743)
Ni (0.500, 0.500, 0.500)
Ni (0.500, 0.000, 0.257)
Ni (0.500, 0.500, 0.000)
Ni (0.000, 0.500, 0.743)
Ni (0.000, 0.500, 0.257)
Ge (0.000, 0.000, 0.000)
Si (0.000, 0.000, 0.500)

Symmetry: P4/mmm (123)

=====

[5]
## Cd2Cu2P2SO17 (PBE)

Data for a relaxed structure of Cd2Cu2P2SO17.

a = 10.571 Å, b = 20.939 Å, c = 6.043 Å
α = 90.00°, β = 90.00°, γ = 90.00°
Sites, in units of the cell vectors:
Cd (0.098, 0.111, 0.480)
Cd (0.402, 0.611, 0.980)
Cd (0.902, 0.611, 0.520)
Cd (0.598, 0.111, 0.020)
Cd (0.402, 0.889, 0.980)
Cd (0.598, 0.389, 0.020)
Cd (0.098, 0.389, 0.480)
Cd (0.902, 0.889, 0.520)
S (0.951, 0.750, 0.760)
S (0.549, 0.250, 0.260)
S (0.451, 0.750, 0.740)
S (0.049, 0.250, 0.240)
O (0.726, 0.028, 0.888)
O (0.713, 0.660, 0.390)
O (0.527, 0.382, 0.641)
O (0.007, 0.693, 0.652)
O (0.726, 0.472, 0.888)
O (0.919, 0.452, 0.175)
O (0.593, 0.558, 0.065)
O (0.581, 0.548, 0.675)
O (0.081, 0.548, 0.825)
O (0.295, 0.588, 0.661)
O (0.519, 0.250, 0.502)
O (0.493, 0.307, 0.152)
O (0.226, 0.472, 0.612)
O (0.019, 0.250, 0.998)
O (0.507, 0.693, 0.848)
O (0.081, 0.952, 0.825)
O (0.093, 0.558, 0.435)
O (0.774, 0.528, 0.388)
O (0.593, 0.942, 0.065)
O (0.287, 0.160, 0.610)
O (0.295, 0.912, 0.661)
O (0.581, 0.952, 0.675)
O (0.705, 0.412, 0.339)
O (0.213, 0.840, 0.110)
O (0.774, 0.972, 0.388)
O (0.981, 0.750, 0.002)
O (0.407, 0.058, 0.935)
O (0.473, 0.882, 0.359)
O (0.287, 0.340, 0.610)
O (0.205, 0.088, 0.161)
O (0.027, 0.382, 0.859)
O (0.310, 0.750, 0.753)
O (0.919, 0.048, 0.175)
O (0.787, 0.160, 0.890)
O (0.419, 0.048, 0.325)
O (0.993, 0.307, 0.348)
O (0.907, 0.442, 0.565)
O (0.973, 0.882, 0.141)
O (0.796, 0.250, 0.706)
O (0.705, 0.088, 0.339)
O (0.993, 0.193, 0.348)
O (0.213, 0.660, 0.110)
O (0.507, 0.807, 0.848)
O (0.907, 0.058, 0.565)
O (0.690, 0.250, 0.247)
O (0.226, 0.028, 0.612)
O (0.407, 0.442, 0.935)
O (0.795, 0.588, 0.839)
O (0.190, 0.250, 0.253)
O (0.205, 0.412, 0.161)
O (0.204, 0.750, 0.294)
O (0.274, 0.528, 0.112)
O (0.795, 0.912, 0.839)
O (0.481, 0.750, 0.498)
O (0.296, 0.250, 0.794)
O (0.527, 0.118, 0.641)
O (0.027, 0.118, 0.859)
O (0.787, 0.340, 0.890)
O (0.810, 0.750, 0.747)
O (0.473, 0.618, 0.359)
O (0.704, 0.750, 0.206)
O (0.007, 0.807, 0.652)
O (0.973, 0.618, 0.141)
O (0.713, 0.840, 0.390)
O (0.419, 0.452, 0.325)
O (0.274, 0.972, 0.112)
O (0.093, 0.942, 0.435)
O (0.493, 0.193, 0.152)
P (0.817, 0.044, 0.362)
P (0.183, 0.544, 0.638)
P (0.683, 0.544, 0.862)
P (0.683, 0.956, 0.862)
P (0.317, 0.044, 0.138)
P (0.317, 0.456, 0.138)
P (0.817, 0.456, 0.362)
P (0.183, 0.956, 0.638)
Cu (0.387, 0.430, 0.625)
Cu (0.887, 0.070, 0.875)
Cu (0.113, 0.570, 0.125)
Cu (0.613, 0.930, 0.375)
Cu (0.887, 0.430, 0.875)
Cu (0.387, 0.070, 0.625)
Cu (0.613, 0.570, 0.375)
Cu (0.113, 0.930, 0.125)

Symmetry: Pnma (62)
Total magnetization (μB/atom): 0.259

=====

[6]
## CoNiSb6 (PBE)

Data for a relaxed structure of CoNiSb6.

a = 7.926 Å, b = 7.926 Å, c = 9.162 Å
α = 54.85°, β = 54.85°, γ = 70.62°
Sites, in units of the cell vectors:
Sb (0.494, 0.825, 0.838)
Sb (0.506, 0.175, 0.162)
Sb (0.825, 0.494, 0.838)
Sb (0.843, 0.162, 0.663)
Sb (0.336, 0.336, 0.823)
Sb (0.157, 0.838, 0.337)
Sb (0.333, 0.333, 0.507)
Sb (0.838, 0.157, 0.337)
Sb (0.664, 0.664, 0.177)
Sb (0.175, 0.506, 0.162)
Sb (0.667, 0.667, 0.493)
Sb (0.162, 0.843, 0.663)
Ni (0.000, 0.500, 0.000)
Ni (0.500, 0.000, 0.000)
Co (0.500, 0.000, 0.500)
Co (0.000, 0.500, 0.500)

Symmetry: C2/m (12)
Total magnetization (μB/atom): 0.000

=====

[7]
## La2Co2I (PBE)

Data for a relaxed structure of La2Co2I.

a = 4.057 Å, b = 4.057 Å, c = 17.967 Å
α = 90.00°, β = 90.00°, γ = 120.00°
Sites, in units of the cell vectors:
La (0.000, 0.000, 0.104)
La (0.000, 0.000, 0.604)
La (0.000, 0.000, 0.396)
La (0.000, 0.000, 0.896)
Co (0.333, 0.667, 0.000)
Co (0.667, 0.333, 0.000)
Co (0.333, 0.667, 0.500)
Co (0.667, 0.333, 0.500)
I (0.667, 0.333, 0.750)
I (0.333, 0.667, 0.250)

Symmetry: P6_3/mmc (194)

=====

[8]
## Na14Y6Ta2Si9S3O48 (PBE)

Data for a relaxed structure of Na14Y6Ta2Si9S3O48.

a = 18.799 Å, b = 9.386 Å, c = 23.045 Å
α = 90.10°, β = 89.62°, γ = 119.92°
Sites, in units of the cell vectors:
O (0.163, 0.479, 0.081)
O (0.494, 0.786, 0.813)
O (0.429, 0.273, 0.520)
O (0.514, 0.838, 0.698)
O (0.748, 0.128, 0.632)
O (0.358, 0.571, 0.527)
O (0.561, 0.650, 0.357)
O (0.858, 0.149, 0.029)
O (0.000, 0.823, 0.699)
O (0.064, 0.474, 0.861)
O (0.488, 0.825, 0.100)
O (0.110, 0.198, 0.811)
O (0.774, 0.680, 0.970)
O (0.420, 0.533, 0.744)
O (0.591, 0.029, 0.597)
O (0.739, 0.360, 0.140)
O (0.387, 0.804, 0.198)
O (0.087, 0.186, 0.412)
O (0.231, 0.132, 0.247)
O (0.109, 0.998, 0.304)
O (0.766, 0.713, 0.246)
O (0.762, 0.685, 0.577)
O (0.068, 0.447, 0.976)
O (0.676, 0.464, 0.363)
O (0.738, 0.160, 0.245)
O (0.426, 0.568, 0.030)
O (0.491, 0.155, 0.598)
O (0.214, 0.143, 0.525)
O (0.361, 0.143, 0.023)
O (0.509, 0.192, 0.911)
O (0.415, 0.992, 0.700)
O (0.930, 0.288, 0.526)
O (0.094, 0.983, 0.917)
O (0.837, 0.152, 0.745)
O (0.742, 0.347, 0.417)
O (0.586, 0.689, 0.756)
O (0.080, 0.688, 0.076)
O (0.767, 0.881, 0.363)
O (0.606, 0.016, 0.309)
O (0.240, 0.119, 0.638)
O (0.391, 0.973, 0.407)
O (0.928, 0.583, 0.022)
O (0.244, 0.138, 0.919)
O (0.008, 0.825, 0.411)
O (0.099, 0.968, 0.199)
O (0.716, 0.287, 0.025)
O (0.648, 0.828, 0.244)
O (0.730, 0.331, 0.745)
O (0.422, 0.335, 0.250)
O (0.816, 0.107, 0.143)
O (0.262, 0.840, 0.077)
O (0.583, 0.993, 0.196)
O (0.158, 0.834, 0.255)
O (0.076, 0.652, 0.359)
O (0.665, 0.485, 0.081)
O (0.652, 0.474, 0.752)
O (0.164, 0.846, 0.580)
O (0.491, 0.203, 0.315)
O (0.923, 0.023, 0.097)
O (0.895, 0.807, 0.911)
O (0.085, 0.015, 0.596)
O (0.321, 0.511, 0.919)
O (0.922, 0.821, 0.595)
O (0.441, 0.377, 0.628)
O (0.571, 0.694, 0.472)
O (0.586, 0.988, 0.913)
O (0.925, 0.354, 0.918)
O (0.835, 0.522, 0.246)
O (0.078, 0.477, 0.582)
O (0.759, 0.659, 0.864)
O (0.253, 0.360, 0.413)
O (0.609, 0.217, 0.803)
O (0.900, 0.990, 0.413)
O (0.441, 0.525, 0.144)
O (0.941, 0.362, 0.639)
O (0.425, 0.492, 0.419)
O (0.580, 0.504, 0.860)
O (0.811, 0.503, 0.630)
O (0.148, 0.467, 0.745)
O (0.092, 0.155, 0.098)
O (0.420, 0.016, 0.097)
O (0.989, 0.152, 0.596)
O (0.334, 0.147, 0.746)
O (0.498, 0.172, 0.199)
O (0.814, 0.509, 0.914)
O (0.923, 0.513, 0.749)
O (0.763, 0.841, 0.079)
O (0.671, 0.851, 0.860)
O (0.004, 0.173, 0.917)
O (0.897, 0.016, 0.812)
O (0.569, 0.453, 0.975)
O (0.172, 0.496, 0.359)
O (0.498, 0.826, 0.415)
O (0.081, 0.173, 0.698)
O (0.998, 0.206, 0.313)
O (0.857, 0.577, 0.520)
O (0.313, 0.115, 0.412)
O (0.247, 0.368, 0.136)
O (0.995, 0.780, 0.815)
O (0.993, 0.828, 0.098)
O (0.586, 0.463, 0.246)
O (0.316, 0.523, 0.641)
O (0.916, 0.840, 0.200)
O (0.394, 0.784, 0.303)
O (0.015, 0.193, 0.197)
O (0.166, 0.877, 0.970)
O (0.336, 0.539, 0.247)
O (0.395, 0.009, 0.814)
O (0.267, 0.818, 0.746)
O (0.272, 0.863, 0.466)
O (0.267, 0.654, 0.864)
O (0.660, 0.844, 0.581)
O (0.752, 0.147, 0.914)
O (0.177, 0.886, 0.865)
O (0.424, 0.823, 0.597)
O (0.896, 0.783, 0.314)
O (0.400, 0.811, 0.914)
O (0.265, 0.691, 0.578)
O (0.943, 0.509, 0.131)
O (0.820, 0.130, 0.418)
O (0.664, 0.454, 0.468)
O (0.922, 0.310, 0.245)
O (0.088, 0.488, 0.256)
O (0.161, 0.458, 0.473)
O (0.659, 0.866, 0.975)
O (0.713, 0.137, 0.520)
O (0.592, 0.202, 0.415)
O (0.088, 0.710, 0.745)
O (0.587, 0.163, 0.094)
O (0.775, 0.868, 0.468)
O (0.217, 0.289, 0.024)
O (0.276, 0.683, 0.969)
O (0.238, 0.317, 0.744)
O (0.256, 0.855, 0.361)
O (0.576, 0.674, 0.082)
O (0.313, 0.117, 0.133)
O (0.071, 0.686, 0.473)
O (0.929, 0.489, 0.414)
O (0.899, 0.974, 0.696)
O (0.580, 0.470, 0.575)
O (0.755, 0.815, 0.760)
O (0.263, 0.693, 0.256)
O (0.596, 0.220, 0.698)
O (0.431, 0.370, 0.913)
Na (0.502, 0.623, 0.242)
Na (0.010, 0.346, 0.081)
Na (0.663, 0.288, 0.924)
Na (0.508, 0.013, 0.996)
Na (0.990, 0.306, 0.422)
Na (0.015, 0.692, 0.588)
Na (0.671, 0.672, 0.665)
Na (0.504, 0.985, 0.507)
Na (0.854, 0.053, 0.911)
Na (0.330, 0.682, 0.088)
Na (0.187, 0.010, 0.738)
Na (0.850, 0.364, 0.322)
Na (0.511, 0.675, 0.586)
Na (0.981, 0.648, 0.907)
Na (0.362, 0.059, 0.911)
Na (0.166, 0.667, 0.665)
Na (0.337, 0.335, 0.336)
Na (0.350, 0.338, 0.820)
Na (0.165, 0.665, 0.160)
Na (0.659, 0.972, 0.080)
Na (0.669, 0.668, 0.163)
Na (0.492, 0.674, 0.914)
Na (0.323, 0.978, 0.591)
Na (0.515, 0.348, 0.079)
Na (0.837, 0.320, 0.828)
Na (0.660, 0.013, 0.424)
Na (0.352, 0.652, 0.425)
Na (0.002, 0.020, 0.000)
Na (0.992, 0.360, 0.744)
Na (0.153, 0.332, 0.587)
Na (0.313, 0.618, 0.738)
Na (0.690, 0.369, 0.239)
Na (0.007, 0.002, 0.508)
Na (0.159, 0.036, 0.430)
Na (0.827, 0.678, 0.086)
Na (0.832, 0.979, 0.595)
Na (0.861, 0.666, 0.416)
Na (0.159, 0.980, 0.088)
Na (0.482, 0.315, 0.414)
Na (0.814, 0.008, 0.239)
Na (0.158, 0.300, 0.916)
Na (0.662, 0.344, 0.593)
S (0.308, 0.952, 0.411)
S (0.316, 0.665, 0.916)
S (0.647, 0.310, 0.749)
S (0.669, 0.368, 0.416)
S (0.345, 0.705, 0.251)
S (0.810, 0.664, 0.914)
S (0.170, 0.970, 0.917)
S (0.815, 0.967, 0.415)
S (0.150, 0.985, 0.251)
Y (0.163, 0.656, 0.019)
Y (0.162, 0.659, 0.520)
Y (0.332, 0.322, 0.183)
Y (0.161, 0.658, 0.807)
Y (0.838, 0.339, 0.491)
Y (0.339, 0.337, 0.989)
Y (0.664, 0.671, 0.520)
Y (0.998, 0.002, 0.845)
Y (0.338, 0.334, 0.683)
Y (0.662, 0.665, 0.307)
Y (0.501, 0.001, 0.347)
Y (0.334, 0.338, 0.489)
Y (0.001, 0.998, 0.347)
Y (0.839, 0.343, 0.183)
Y (0.663, 0.667, 0.018)
Y (0.833, 0.336, 0.684)
Y (0.836, 0.331, 0.987)
Y (0.501, 0.006, 0.846)
Ta (0.505, 0.016, 0.147)
Ta (0.660, 0.682, 0.811)
Ta (0.497, 0.992, 0.649)
Ta (0.156, 0.642, 0.313)
Ta (0.995, 0.992, 0.653)
Ta (0.997, 0.004, 0.149)
Si (0.501, 0.708, 0.753)
Si (0.514, 0.665, 0.415)
Si (0.182, 0.327, 0.085)
Si (0.998, 0.701, 0.753)
Si (0.484, 0.321, 0.580)
Si (0.351, 0.995, 0.753)
Si (0.337, 0.029, 0.082)
Si (0.147, 0.292, 0.750)
Si (0.520, 0.377, 0.915)
Si (0.003, 0.296, 0.253)
Si (0.682, 0.332, 0.084)
Si (0.336, 0.642, 0.586)
Si (0.985, 0.646, 0.081)
Si (0.648, 0.001, 0.249)
Si (0.015, 0.361, 0.917)
Si (0.984, 0.323, 0.586)
Si (0.852, 0.709, 0.252)
Si (0.017, 0.662, 0.416)
Si (0.836, 0.643, 0.581)
Si (0.483, 0.643, 0.088)
Si (0.846, 0.991, 0.753)
Si (0.668, 0.970, 0.917)
Si (0.835, 0.031, 0.086)
Si (0.169, 0.368, 0.416)
Si (0.177, 0.032, 0.584)
Si (0.680, 0.035, 0.582)
Si (0.497, 0.294, 0.253)

Symmetry: P1 (1)
Total magnetization (μB/atom): 0.000

=====

| no. | E_form (kJ/mol of atoms) |
| --- | --- |
| 1 | 5 |
| 2 | 24 |
| 3 | 14 |
| 4 | -36 |
| 5 | -116 |
| 6 | -29 |
| 7 | -67 |
| 8 | -283 |